No. 1
The following is a PBE-GGA calculation of a geometry-optimized NaIO4 structure, from Materials Project.

Cell and atoms, written as POSCAR:
```
NaIO4
1.0
-0.126 1.642 5.244
-5.522 -0.013 -0.178
2.770 -6.706 -0.671
O I Na
8 2 2
Direct
0.440 0.260 0.514
0.268 0.073 0.011
0.067 0.739 0.509
0.754 0.444 0.011
0.748 0.037 0.043
0.304 0.516 0.044
0.032 0.294 0.545
0.513 0.735 0.537
0.327 0.574 0.653
0.580 0.332 0.154
0.871 0.112 0.737
0.117 0.869 0.235
```

Calculated values
- DFT formation energy: -0.78 eV per atom

=====

No. 2
The following is a PBE-GGA calculation of a geometry-optimized MgTi2O4 structure, from Materials Project.

Cell and atoms, written as POSCAR:
```
MgTi2O4
1.0
6.084 -0.093 -0.031
2.962 5.131 0.000
8.969 5.083 14.758
O Ti Mg
24 12 6
Direct
0.739 0.260 0.080
0.279 0.254 0.904
0.752 0.263 0.915
0.248 0.251 0.250
0.735 0.744 0.092
0.738 0.253 0.419
0.753 0.743 0.754
0.752 0.742 0.915
0.250 0.251 0.583
0.740 0.268 0.580
0.747 0.246 0.754
0.264 0.257 0.085
0.223 0.755 0.923
0.252 0.747 0.584
0.262 0.737 0.752
0.740 0.268 0.246
0.740 0.756 0.246
0.262 0.244 0.752
0.259 0.730 0.420
0.258 0.251 0.420
0.263 0.724 0.085
0.261 0.750 0.246
0.740 0.751 0.580
0.756 0.750 0.415
0.494 0.031 0.162
0.501 0.514 0.500
0.500 0.511 0.840
0.501 0.986 0.500
0.496 0.512 0.994
0.852 0.877 0.965
0.881 0.881 0.286
0.494 0.490 0.162
0.500 0.968 0.840
0.871 0.879 0.624
0.123 0.121 0.712
0.123 0.119 0.379
0.003 0.498 0.500
0.996 0.505 0.165
0.500 0.503 0.331
0.017 0.492 0.833
0.131 0.129 0.037
0.506 0.491 0.671
```

Calculated values
- DFT formation energy: -3.17 eV per atom

=====

No. 3
The following is a PBE-GGA calculation of a geometry-optimized ScBiO3 structure, from Materials Project.

Cell and atoms, written as POSCAR:
```
ScBiO3
1.0
5.295 -2.853 0.000
5.295 2.853 0.000
3.758 0.000 4.696
O Sc Bi
6 2 2
Direct
0.794 0.447 0.023
0.553 0.977 0.206
0.977 0.206 0.553
0.206 0.553 0.977
0.023 0.794 0.447
0.447 0.023 0.794
0.149 0.149 0.149
0.851 0.851 0.851
0.637 0.637 0.637
0.363 0.363 0.363
```

Calculated values
- DFT formation energy: -2.73 eV per atom

=====

No. 4
The following is a PBE-GGA calculation of a geometry-optimized Eu2BiAu structure, from Materials Project.

Cell and atoms, written as POSCAR:
```
Eu2BiAu
1.0
3.106 1.144 4.425
-1.760 -1.401 5.047
2.491 -4.089 2.759
Bi Eu Au
1 2 1
Direct
0.000 0.000 0.000
0.750 0.750 0.750
0.250 0.250 0.250
0.500 0.500 0.500
```

Calculated values
- DFT formation energy: -0.86 eV per atom